1.
# FeOF

A geometry-optimized FeOF structure (GGA+U, the Materials Project database). Values from VASP.

Computed properties:
**Symmetry**: Pm (6)
**E**: -5.979 eV per atom

```
&SYSTEM
  ibrav = 0, nat = 36, ntyp = 3
/
ATOMIC_SPECIES
F 19.00 F.upf
Fe 55.84 Fe.upf
O 16.00 O.upf
ATOMIC_POSITIONS angstrom
F 8.572 0.986 1.548
F 8.060 3.281 0.000
F 3.740 10.348 1.548
F 8.528 5.565 1.548
F 3.282 8.078 0.000
F 1.483 1.440 0.000
F 3.804 0.838 1.548
F 3.828 5.740 1.548
F 6.256 6.230 0.000
F 5.622 8.377 1.548
F 3.275 12.599 0.000
F 8.048 12.687 0.000
Fe 2.539 2.516 1.548
Fe 2.062 11.663 1.548
Fe 4.979 13.909 0.000
Fe 0.229 4.588 0.000
Fe 2.066 7.117 1.548
Fe 0.102 14.029 0.000
Fe 4.825 4.639 0.000
Fe 6.891 2.313 1.548
Fe 7.074 11.538 1.548
Fe 7.366 7.214 1.548
Fe 4.785 9.473 0.000
Fe 9.448 9.453 0.000
O 0.958 3.726 1.548
O 5.729 13.033 1.548
O 0.808 8.587 1.548
O 6.222 10.732 0.000
O 0.904 13.242 1.548
O 3.365 3.296 0.000
O 1.377 6.201 0.000
O 8.115 8.077 0.000
O 6.170 1.397 0.000
O 1.316 10.783 0.000
O 5.711 3.877 1.548
O 8.543 10.313 1.548
CELL_PARAMETERS angstrom
9.490 0.001 0.000
0.000 14.099 0.000
0.000 0.000 3.096
```


2.
# FeOF

A geometry-optimized FeOF structure (GGA+U, the Materials Project database). Values from VASP.

Computed properties:
**Symmetry**: Pm (6)
**E**: -6.015 eV per atom

```
&SYSTEM
  ibrav = 0, nat = 54, ntyp = 3
/
ATOMIC_SPECIES
O 16.00 O.upf
F 19.00 F.upf
Fe 55.84 Fe.upf
ATOMIC_POSITIONS angstrom
O 0.000 10.935 8.093
O 1.552 8.610 3.859
O 1.552 0.933 10.402
O 1.552 3.858 8.598
O 0.000 8.046 1.446
O 1.552 13.371 8.564
O 0.000 3.313 6.188
O 0.000 3.376 11.009
O 1.552 13.314 3.855
O 1.552 3.839 3.791
O 1.552 13.366 13.343
O 1.552 8.529 8.658
O 0.000 3.362 1.360
O 0.000 8.074 6.231
O 1.552 8.621 13.304
O 0.000 12.754 10.954
O 0.000 12.797 1.466
O 0.000 6.157 12.869
F 1.552 0.927 5.662
F 1.552 10.504 5.659
F 0.000 12.835 6.208
F 1.552 5.774 10.427
F 0.000 6.193 8.056
F 0.000 1.491 7.982
F 1.552 10.415 0.946
F 1.552 10.371 10.519
F 1.552 3.831 13.353
F 0.000 10.968 12.868
F 0.000 1.481 3.281
F 0.000 6.210 3.322
F 1.552 0.967 0.963
F 1.552 5.694 5.679
F 0.000 10.944 3.309
F 0.000 1.515 12.870
F 0.000 8.035 11.007
F 1.552 5.664 0.968
Fe 0.000 9.358 4.772
Fe 0.000 14.175 9.558
Fe 0.000 9.369 14.205
Fe 0.000 4.586 9.504
Fe 1.552 7.325 7.132
Fe 1.552 12.039 2.332
Fe 1.552 2.621 2.282
Fe 1.552 7.099 12.085
Fe 1.552 2.349 11.603
Fe 0.000 4.788 14.233
Fe 1.552 2.591 7.126
Fe 1.552 11.889 7.425
Fe 1.552 12.091 11.836
Fe 0.000 9.474 9.352
Fe 0.000 14.108 14.207
Fe 1.552 7.370 2.392
Fe 0.000 4.572 4.725
Fe 0.000 14.129 4.659
CELL_PARAMETERS angstrom
3.103 0.000 0.000
0.000 14.223 0.000
0.000 0.058 14.263
```


3.
# Li5Mn2P2C2O14

A geometry-optimized Li5Mn2P2C2O14 structure (GGA+U, the Materials Project database). Values from VASP.

Computed properties:
**Symmetry**: P-1 (2)
**E**: -6.908 eV per atom

```
&SYSTEM
  ibrav = 0, nat = 50, ntyp = 5
/
ATOMIC_SPECIES
Li 6.94 Li.upf
O 16.00 O.upf
C 12.01 C.upf
P 30.97 P.upf
Mn 54.94 Mn.upf
ATOMIC_POSITIONS angstrom
Li -3.184 -6.514 3.095
Li -4.991 0.843 2.652
Li -4.039 -0.974 -3.455
Li -0.118 -2.307 0.561
Li -3.994 -5.621 -2.385
Li -4.530 -4.586 0.905
Li -8.866 -2.471 -0.293
Li -4.454 -0.191 -0.638
Li -5.800 1.736 -2.827
Li -4.945 -3.804 3.723
O -2.661 -2.273 -2.623
O -2.068 -7.777 0.274
O -1.775 -5.425 1.786
O -7.210 0.647 -1.519
O -4.084 0.749 -2.394
O -6.323 -2.505 2.891
O -4.753 2.479 3.808
O -1.445 -3.602 -0.812
O -4.179 -4.661 5.914
O -4.231 -7.256 -3.540
O -2.977 -1.618 -0.271
O -5.053 -0.930 1.359
O -4.805 -0.117 -5.646
O -2.584 0.945 1.129
O -3.191 -3.358 2.280
O -3.290 -0.531 3.510
O -4.599 -2.093 5.117
O -4.900 -5.527 2.662
O -5.793 -1.420 -2.012
O -7.540 -1.176 1.079
O -5.694 -4.246 -3.242
O -4.385 -2.685 -4.850
O -3.931 -3.848 -1.091
O -5.296 1.607 0.637
O -6.400 -5.723 -0.862
O -6.008 -3.160 0.539
O -6.916 2.999 -0.007
O -3.688 -6.385 -0.369
C -5.684 2.799 0.236
C -1.340 0.642 1.315
C -3.301 -7.577 0.031
C -7.644 -5.420 -1.048
P -6.244 -1.945 1.475
P -1.887 -4.133 2.638
P -7.098 -0.644 -2.370
P -2.740 -2.833 -1.208
Mn -7.405 0.887 0.529
Mn -5.933 -3.499 -1.412
Mn -3.051 -1.279 1.680
Mn -1.579 -5.665 -0.262
CELL_PARAMETERS angstrom
-5.147 3.959 5.004
-3.701 0.504 -7.317
-0.137 -9.241 2.580
```


4.
# Zn3Fe2Si3O12

A geometry-optimized Zn3Fe2Si3O12 structure (GGA+U, the Materials Project database). Values from VASP.

Computed properties:
**Symmetry**: Ia-3d (230)
**E**: -6.498 eV per atom

```
&SYSTEM
  ibrav = 0, nat = 80, ntyp = 4
/
ATOMIC_SPECIES
Zn 65.41 Zn.upf
Si 28.09 Si.upf
O 16.00 O.upf
Fe 55.84 Fe.upf
ATOMIC_POSITIONS angstrom
Zn 1.941 -2.532 7.317
Zn -2.646 0.395 6.244
Zn 2.737 1.008 7.430
Zn 6.858 3.347 2.342
Zn 2.457 -0.621 2.136
Zn -1.427 5.734 5.366
Zn 2.271 6.274 1.269
Zn 4.985 3.048 5.438
Zn 1.755 4.363 6.450
Zn 5.639 -1.992 3.220
Zn 1.475 2.734 1.156
Zn -0.773 0.694 3.148
Si 5.876 6.702 1.362
Si -3.675 3.694 7.358
Si 3.628 4.661 3.354
Si 0.024 4.234 3.261
Si 5.170 -3.847 6.305
Si 0.584 -0.919 5.232
Si 7.887 0.048 1.228
Si -0.445 2.379 6.347
Si -0.958 7.589 2.280
Si -1.664 -2.960 7.224
Si 4.188 -0.492 5.325
Si 4.657 1.363 2.239
O 6.222 -3.339 5.126
O 5.878 5.083 0.996
O 1.006 -0.535 6.790
O -4.294 -0.652 7.395
O 1.150 -2.479 5.192
O 3.562 -3.658 5.942
O -3.170 4.145 5.843
O 4.677 -0.253 1.863
O -0.465 3.995 6.722
O 0.593 5.173 4.505
O -1.603 4.388 3.550
O 3.062 6.221 3.393
O 3.034 1.534 2.540
O 0.251 -0.971 1.744
O 1.871 0.708 0.218
O 7.382 -0.403 2.743
O 3.004 3.658 4.518
O 3.622 1.068 5.344
O 3.961 4.713 6.841
O -1.665 -1.341 7.590
O -1.052 1.377 7.522
O -2.010 7.081 3.459
O -0.636 1.583 1.067
O 1.915 8.349 0.425
O -3.687 2.058 7.636
O -1.442 1.936 5.096
O 3.206 4.277 1.795
O 4.382 7.426 1.337
O 0.515 4.701 1.746
O 0.590 2.674 3.242
O 7.527 -3.123 2.672
O 2.341 3.034 8.367
O 5.815 -0.646 5.035
O 4.848 2.159 7.519
O 3.619 -1.431 4.081
O 1.178 2.208 6.046
O 5.654 1.806 3.490
O -3.315 6.866 5.913
O 5.264 2.365 1.063
O 0.650 7.400 2.644
O 5.240 4.490 3.707
O 8.507 4.394 1.191
O 3.697 -0.959 6.840
O 2.297 -4.606 8.160
O 7.899 1.684 0.950
O -0.170 -3.684 7.249
O -1.028 -0.748 4.878
O 1.208 0.085 4.067
Fe -2.295 -2.097 4.087
Fe -0.608 5.097 0.124
Fe 4.401 3.968 0.206
Fe 0.000 0.000 0.000
Fe 5.008 -1.129 0.082
Fe 2.106 1.871 4.293
Fe 2.714 -3.226 4.169
Fe -2.902 3.000 4.210
CELL_PARAMETERS angstrom
10.017 -2.258 0.165
-1.215 10.194 0.247
-4.589 -4.194 8.174
```


5.
# Li3MnPCO7

A geometry-optimized Li3MnPCO7 structure (GGA+U, the Materials Project database). Values from VASP.

Computed properties:
**Symmetry**: P2_1/m (11)
**E**: -6.857 eV per atom

```
&SYSTEM
  ibrav = 0, nat = 26, ntyp = 5
/
ATOMIC_SPECIES
Li 6.94 Li.upf
O 16.00 O.upf
P 30.97 P.upf
Mn 54.94 Mn.upf
C 12.01 C.upf
ATOMIC_POSITIONS angstrom
Li 1.479 4.936 7.783
Li 1.499 3.147 2.380
Li 4.044 3.434 6.508
Li 1.499 0.143 2.380
Li 4.063 1.645 1.105
Li 4.044 6.438 6.508
O 3.195 4.936 5.139
O 2.066 1.644 0.975
O 2.531 4.936 1.517
O 1.127 6.149 6.024
O 3.011 1.646 7.371
O 0.900 1.645 8.094
O 4.438 1.645 5.149
O 3.475 4.936 7.912
O 4.415 0.431 2.863
O 4.415 2.859 2.863
O 1.104 4.936 3.738
O 2.347 1.645 3.749
O 1.128 3.722 6.024
O 4.642 4.936 0.793
P 1.630 4.936 5.186
P 3.913 1.645 3.702
Mn 1.446 1.645 5.738
Mn 4.097 4.936 3.150
C 2.159 1.645 8.370
C 3.383 4.936 0.518
CELL_PARAMETERS angstrom
5.014 0.000 0.266
0.000 6.581 0.000
0.529 0.000 8.621
```


6.
# Li7V5O12

A geometry-optimized Li7V5O12 structure (GGA+U, the Materials Project database). Values from VASP.

Computed properties:
**Symmetry**: C2/m (12)
**E**: -6.656 eV per atom

```
&SYSTEM
  ibrav = 0, nat = 24, ntyp = 3
/
ATOMIC_SPECIES
O 16.00 O.upf
Li 6.94 Li.upf
V 50.94 V.upf
ATOMIC_POSITIONS angstrom
O 0.319 -2.819 -2.141
O 4.970 -3.715 -0.093
O 6.921 -6.072 -0.872
O 5.755 -7.773 1.156
O 5.054 -4.676 -2.977
O 2.270 -5.175 -2.920
O 1.485 -1.118 -4.169
O 3.798 -6.408 -0.883
O 3.442 -2.483 -2.129
O -0.942 -4.464 -0.123
O 2.186 -4.215 -0.036
O 8.182 -4.427 -2.889
Li 6.434 -4.116 -1.550
Li 1.982 -3.152 -3.424
Li 1.903 -2.282 -0.746
Li 5.257 -5.738 0.412
Li 3.620 -4.445 -1.506
Li 0.805 -4.775 -1.462
Li 5.337 -6.609 -2.266
V 2.394 -6.136 0.538
V -1.134 -2.568 -0.735
V 0.081 -0.893 -2.760
V 4.846 -2.755 -3.550
V 0.000 0.000 0.000
CELL_PARAMETERS angstrom
-2.355 -4.252 1.301
1.302 0.791 -4.796
8.293 -5.430 0.483
```


7.
# Li4V3P8O29

A geometry-optimized Li4V3P8O29 structure (GGA+U, the Materials Project database). Values from VASP.

Computed properties:
**Symmetry**: P1 (1)
**E**: -7.037 eV per atom

```
&SYSTEM
  ibrav = 0, nat = 88, ntyp = 4
/
ATOMIC_SPECIES
Li 6.94 Li.upf
V 50.94 V.upf
O 16.00 O.upf
P 30.97 P.upf
ATOMIC_POSITIONS angstrom
Li 7.770 1.924 7.792
Li 7.073 0.787 0.845
Li 2.676 0.787 7.779
Li 2.054 1.909 0.823
Li 2.879 6.484 13.092
Li -0.668 2.713 13.087
Li -2.892 6.526 6.140
Li 2.199 7.648 6.141
V -2.146 3.675 10.471
V 2.086 3.692 3.578
V 6.959 4.790 3.404
V 0.649 8.459 3.461
V 2.810 4.767 10.369
V -0.702 8.407 10.517
O 1.211 1.954 7.966
O 5.673 1.574 2.319
O 3.911 6.677 3.421
O -2.858 8.423 3.527
O -0.691 7.659 2.435
O 5.599 4.082 2.417
O 2.778 3.230 11.472
O -0.020 5.616 6.683
O -2.799 6.295 2.299
O -1.494 5.659 4.608
O 5.727 5.595 4.731
O -1.182 2.047 0.951
O 1.391 4.017 9.434
O 4.095 1.511 9.332
O 2.508 8.450 7.919
O 6.334 2.737 9.290
O 4.812 2.771 7.250
O 5.554 0.795 11.464
O 4.195 0.827 4.522
O 5.863 6.663 10.404
O 0.043 5.658 13.645
O 6.003 6.480 12.980
O 2.777 6.285 9.241
O 3.686 6.498 5.962
O 4.023 5.572 11.645
O 3.403 2.801 2.355
O 2.003 7.757 2.231
O 3.646 6.410 0.884
O -2.071 5.247 9.421
O 0.955 1.758 10.497
O 2.338 0.011 6.027
O -1.014 1.755 3.492
O 7.734 -0.019 10.449
O 1.178 2.024 13.002
O -1.992 7.767 9.254
O 7.716 2.117 11.732
O 8.536 2.021 6.055
O 2.492 8.430 12.987
O 4.890 2.842 0.284
O -0.691 4.327 11.614
O -0.717 6.876 11.513
O 1.494 5.662 11.567
O 0.769 6.879 4.636
O 4.149 4.030 9.384
O -0.851 2.841 9.187
O 6.975 3.236 4.465
O -3.654 6.486 7.863
O 2.088 5.219 2.500
O 2.071 2.157 4.653
O 0.705 4.377 4.553
O 0.844 2.862 2.228
O 2.274 0.042 1.002
O 3.487 4.423 4.519
O 6.271 4.410 11.474
O -1.394 4.049 2.456
O 0.661 7.657 9.435
O 2.902 0.716 11.653
O 6.864 0.696 4.716
P 2.689 0.729 4.765
P -0.689 2.680 2.221
P 2.913 6.501 2.160
P -2.926 6.493 9.148
P 5.582 5.798 11.758
P 7.784 1.947 4.785
P -2.224 7.742 2.192
P 4.859 2.803 1.768
P 1.962 1.942 11.727
P 2.181 7.710 9.179
P 0.034 5.607 12.162
P -0.033 5.659 5.200
P 7.079 0.717 11.732
P 4.188 5.810 4.756
P 4.880 2.746 8.732
P 0.684 2.647 9.153
CELL_PARAMETERS angstrom
9.776 0.000 0.000
-4.885 8.477 0.000
-0.020 -0.037 13.930
```


8.
# Co6OF11

A geometry-optimized Co6OF11 structure (GGA+U, the Materials Project database). Values from VASP.

Computed properties:
**Symmetry**: Amm2 (38)
**E**: -5.155 eV per atom

```
&SYSTEM
  ibrav = 0, nat = 18, ntyp = 3
/
ATOMIC_SPECIES
Co 58.93 Co.upf
F 19.00 F.upf
O 16.00 O.upf
ATOMIC_POSITIONS angstrom
Co -0.630 4.303 1.748
Co 1.901 6.636 3.142
Co -7.907 -6.675 1.679
Co -4.167 -1.033 1.714
Co -5.373 -4.339 3.073
Co -1.834 1.001 3.107
F 0.869 3.392 0.703
F -6.510 -6.054 3.062
F -2.060 5.320 2.794
F 0.771 4.931 3.132
F -1.461 1.003 1.057
F 3.038 8.353 3.153
F -0.701 2.710 3.118
F -3.350 2.247 2.405
F -2.782 -2.154 0.656
F -4.261 -2.660 3.084
F -5.745 -0.204 2.771
O -2.814 -0.477 3.098
CELL_PARAMETERS angstrom
3.069 9.885 1.783
-7.918 -6.693 1.679
1.361 -0.919 2.754
```